{"formula": "Ca3YMn3B4O15", "functional": "PBE+U", "state": "relaxed", "ef_ev_per_atom": -2.928, "magmom_total_mub_per_atom": 0.462, "final_energy_ev_per_atom": -7.759, "spacegroup": "Pm", "lattice_angstrom": [[-2.850, -3.508, -4.001], [-1.791, -7.224, 7.609], [-8.895, 0.577, 5.829]], "species": ["Ca", "Ca", "Ca", "Ca", "Ca", "Ca", "Y", "Y", "Mn", "Mn", "Mn", "Mn", "Mn", "Mn", "B", "B", "B", "B", "B", "B", "B", "B", "O", "O", "O", "O", "O", "O", "O", "O", "O", "O", "O", "O", "O", "O", "O", "O", "O", "O", "O", "O", "O", "O", "O", "O", "O", "O", "O", "O", "O", "O"], "fractional_positions": [[0.500, 0.849, 0.264], [0.000, 0.687, 0.138], [0.500, 0.263, 0.890], [0.000, 0.178, 0.686], [0.000, 0.333, 0.332], [0.000, 0.135, 0.175], [0.500, 0.894, 0.848], [0.500, 0.665, 0.667], [0.251, 0.000, 0.498], [0.252, 0.499, 0.501], [0.748, 0.499, 0.501], [0.252, 0.503, 0.000], [0.748, 0.503, 0.000], [0.749, 0.000, 0.498], [0.000, 0.786, 0.770], [0.258, 0.998, 0.998], [0.742, 0.998, 0.998], [0.000, 0.766, 0.453], [0.000, 0.453, 0.782], [0.500, 0.548, 0.221], [0.500, 0.231, 0.551], [0.500, 0.221, 0.232], [0.206, 0.833, 0.699], [0.794, 0.833, 0.699], [0.500, 0.899, 0.476], [0.000, 0.689, 0.915], [0.000, 0.913, 0.400], [0.500, 0.633, 0.900], [0.204, 0.694, 0.480], [0.796, 0.694, 0.480], [0.205, 0.481, 0.826], [0.795, 0.481, 0.826], [0.276, 0.850, 0.055], [0.724, 0.850, 0.055], [0.500, 0.474, 0.626], [0.500, 0.596, 0.320], [0.000, 0.396, 0.691], [0.000, 0.523, 0.384], [0.701, 0.522, 0.173], [0.299, 0.522, 0.173], [0.701, 0.303, 0.523], [0.299, 0.303, 0.523], [0.274, 0.079, 0.849], [0.726, 0.079, 0.849], [0.000, 0.384, 0.091], [0.500, 0.081, 0.605], [0.500, 0.320, 0.085], [0.000, 0.094, 0.522], [0.701, 0.172, 0.304], [0.299, 0.172, 0.304], [0.267, 0.060, 0.083], [0.733, 0.060, 0.083]]}

---

{"formula": "Rb2LiVP2O8", "functional": "PBE+U", "state": "relaxed", "ef_ev_per_atom": -2.571, "magmom_total_mub_per_atom": 0.143, "final_energy_ev_per_atom": -6.583, "spacegroup": "P2_12_12_1", "lattice_angstrom": [[-3.482, -3.851, -5.124], [-3.042, -6.243, 6.761], [-10.455, 7.050, 1.806]], "species": ["Rb", "Rb", "Rb", "Rb", "Rb", "Rb", "Rb", "Rb", "Li", "Li", "Li", "Li", "V", "V", "V", "V", "P", "P", "P", "P", "P", "P", "P", "P", "O", "O", "O", "O", "O", "O", "O", "O", "O", "O", "O", "O", "O", "O", "O", "O", "O", "O", "O", "O", "O", "O", "O", "O", "O", "O", "O", "O", "O", "O", "O", "O"], "fractional_positions": [[0.732, 0.306, 0.599], [0.692, 0.911, 0.409], [0.808, 0.089, 0.909], [0.768, 0.694, 0.099], [0.232, 0.194, 0.401], [0.192, 0.589, 0.591], [0.308, 0.411, 0.091], [0.268, 0.806, 0.901], [0.630, 0.621, 0.505], [0.870, 0.379, 0.005], [0.130, 0.879, 0.495], [0.370, 0.121, 0.995], [0.748, 0.250, 0.200], [0.752, 0.750, 0.700], [0.248, 0.250, 0.800], [0.252, 0.750, 0.300], [0.518, 0.474, 0.349], [0.581, 0.488, 0.828], [0.919, 0.512, 0.328], [0.982, 0.526, 0.849], [0.018, 0.026, 0.651], [0.081, 0.012, 0.172], [0.419, 0.988, 0.672], [0.482, 0.974, 0.151], [0.512, 0.847, 0.689], [0.525, 0.572, 0.923], [0.526, 0.962, 0.034], [0.562, 0.332, 0.301], [0.591, 0.567, 0.723], [0.620, 0.054, 0.217], [0.674, 0.288, 0.068], [0.705, 0.569, 0.348], [0.795, 0.431, 0.848], [0.826, 0.712, 0.568], [0.880, 0.946, 0.717], [0.909, 0.433, 0.223], [0.938, 0.668, 0.801], [0.974, 0.038, 0.534], [0.975, 0.428, 0.423], [0.988, 0.153, 0.189], [0.012, 0.653, 0.311], [0.025, 0.928, 0.077], [0.026, 0.538, 0.966], [0.062, 0.168, 0.699], [0.091, 0.933, 0.277], [0.120, 0.446, 0.783], [0.174, 0.212, 0.932], [0.205, 0.931, 0.652], [0.295, 0.069, 0.152], [0.326, 0.788, 0.432], [0.380, 0.554, 0.283], [0.409, 0.067, 0.777], [0.438, 0.832, 0.199], [0.474, 0.462, 0.466], [0.475, 0.072, 0.577], [0.488, 0.347, 0.811]]}

---

{"formula": "NaCeMnWO6", "functional": "PBE+U", "state": "relaxed", "ef_ev_per_atom": -2.473, "magmom_total_mub_per_atom": 0.600, "final_energy_ev_per_atom": -7.357, "spacegroup": "F-43m", "lattice_angstrom": [[0.000, -4.033, -4.033], [4.033, 0.000, -4.033], [4.033, -4.033, 0.000]], "species": ["Na", "Ce", "Mn", "W", "O", "O", "O", "O", "O", "O"], "fractional_positions": [[0.250, 0.250, 0.250], [0.750, 0.750, 0.750], [0.000, 0.000, 0.000], [0.500, 0.500, 0.500], [0.740, 0.260, 0.260], [0.260, 0.740, 0.740], [0.740, 0.260, 0.740], [0.260, 0.740, 0.260], [0.740, 0.740, 0.260], [0.260, 0.260, 0.740]]}

---

{"formula": "KLiTm2Mo4O16", "functional": "PBE+U", "state": "relaxed", "ef_ev_per_atom": -2.532, "magmom_total_mub_per_atom": 0.000, "final_energy_ev_per_atom": -7.145, "spacegroup": "C2/c", "lattice_angstrom": [[-2.881, -2.967, 5.453], [5.872, 3.308, -1.185], [-7.903, 17.094, 5.738]], "species": ["K", "K", "Li", "Li", "Tm", "Tm", "Tm", "Tm", "Mo", "Mo", "Mo", "Mo", "Mo", "Mo", "Mo", "Mo", "O", "O", "O", "O", "O", "O", "O", "O", "O", "O", "O", "O", "O", "O", "O", "O", "O", "O", "O", "O", "O", "O", "O", "O", "O", "O", "O", "O", "O", "O", "O", "O"], "fractional_positions": [[0.530, 0.470, 0.250], [0.470, 0.530, 0.750], [0.813, 0.187, 0.250], [0.187, 0.813, 0.750], [0.649, 0.355, 0.031], [0.351, 0.645, 0.969], [0.645, 0.351, 0.469], [0.355, 0.649, 0.531], [0.918, 0.043, 0.091], [0.082, 0.957, 0.909], [0.957, 0.082, 0.409], [0.043, 0.918, 0.591], [0.231, 0.746, 0.146], [0.769, 0.254, 0.854], [0.254, 0.769, 0.354], [0.746, 0.231, 0.646], [0.663, 0.002, 0.041], [0.337, 0.998, 0.959], [0.998, 0.337, 0.459], [0.002, 0.663, 0.541], [0.493, 0.771, 0.171], [0.507, 0.229, 0.829], [0.229, 0.507, 0.329], [0.771, 0.493, 0.671], [0.716, 0.757, 0.464], [0.284, 0.243, 0.536], [0.243, 0.284, 0.036], [0.757, 0.716, 0.964], [0.446, 0.924, 0.434], [0.554, 0.076, 0.566], [0.076, 0.554, 0.066], [0.924, 0.446, 0.934], [0.799, 0.980, 0.330], [0.201, 0.020, 0.670], [0.020, 0.201, 0.170], [0.980, 0.799, 0.830], [0.721, 0.819, 0.601], [0.279, 0.181, 0.399], [0.181, 0.279, 0.899], [0.819, 0.721, 0.101], [0.404, 0.102, 0.129], [0.596, 0.898, 0.871], [0.898, 0.596, 0.371], [0.102, 0.404, 0.629], [0.433, 0.027, 0.287], [0.567, 0.973, 0.713], [0.973, 0.567, 0.213], [0.027, 0.433, 0.787]]}

---

{"formula": "MgZn4Co6O16", "functional": "PBE+U", "state": "relaxed", "de_polymorph_ev_per_atom": 0.055, "ef_ev_per_atom": -1.305, "magmom_total_mub_per_atom": 0.592, "final_energy_ev_per_atom": -5.292, "spacegroup": "P1", "lattice_angstrom": [[5.776, -0.009, -0.049], [-2.896, 5.129, 0.113], [-0.105, 0.166, 9.980]], "species": ["Mg", "Zn", "Zn", "Zn", "Zn", "Co", "Co", "Co", "Co", "Co", "Co", "O", "O", "O", "O", "O", "O", "O", "O", "O", "O", "O", "O", "O", "O", "O", "O"], "fractional_positions": [[0.650, 0.282, 0.972], [0.709, 0.397, 0.219], [0.306, 0.649, 0.509], [0.656, 0.308, 0.452], [0.330, 0.644, 0.917], [0.688, 0.866, 0.231], [0.819, 0.142, 0.731], [0.184, 0.353, 0.230], [0.825, 0.660, 0.730], [0.304, 0.145, 0.729], [0.192, 0.877, 0.221], [0.850, 0.195, 0.124], [0.667, 0.839, 0.635], [0.135, 0.300, 0.631], [0.883, 0.733, 0.122], [0.368, 0.210, 0.117], [0.118, 0.801, 0.631], [0.521, 0.477, 0.843], [0.019, 0.503, 0.358], [0.479, 0.972, 0.353], [0.503, 0.003, 0.838], [0.033, 0.012, 0.326], [0.960, 0.960, 0.831], [0.343, 0.703, 0.122], [0.960, 0.450, 0.841], [0.504, 0.524, 0.351], [0.661, 0.326, 0.638]]}

---

{"formula": "Fe5O7F3", "functional": "PBE+U", "state": "relaxed", "de_polymorph_ev_per_atom": 0.025, "ef_ev_per_atom": -1.727, "magmom_total_mub_per_atom": 1.534, "final_energy_ev_per_atom": -6.078, "spacegroup": "C2", "lattice_angstrom": [[3.253, 3.349, 0.000], [-3.253, 3.349, 0.000], [0.000, 0.034, 15.227]], "species": ["Fe", "Fe", "Fe", "Fe", "Fe", "Fe", "Fe", "Fe", "Fe", "Fe", "O", "O", "O", "O", "O", "O", "O", "O", "O", "O", "O", "O", "O", "O", "F", "F", "F", "F", "F", "F"], "fractional_positions": [[0.038, 0.020, 0.707], [0.973, 0.971, 0.901], [0.029, 0.027, 0.099], [0.980, 0.962, 0.293], [0.016, 0.984, 0.500], [0.505, 0.496, 0.800], [0.504, 0.495, 0.200], [0.501, 0.499, 0.000], [0.488, 0.525, 0.405], [0.475, 0.512, 0.595], [0.194, 0.795, 0.805], [0.194, 0.806, 0.000], [0.205, 0.806, 0.195], [0.176, 0.805, 0.396], [0.195, 0.824, 0.604], [0.680, 0.674, 0.901], [0.678, 0.679, 0.299], [0.694, 0.704, 0.502], [0.321, 0.322, 0.701], [0.326, 0.320, 0.099], [0.296, 0.306, 0.498], [0.806, 0.188, 0.803], [0.812, 0.194, 0.197], [0.809, 0.191, 0.000], [0.706, 0.707, 0.699], [0.708, 0.702, 0.099], [0.298, 0.292, 0.901], [0.293, 0.294, 0.301], [0.806, 0.208, 0.603], [0.792, 0.194, 0.397]]}

---

{"formula": "Tm2W3O12", "functional": "PBE+U", "state": "relaxed", "de_polymorph_ev_per_atom": 0.037, "ef_ev_per_atom": -2.747, "magmom_total_mub_per_atom": 0.000, "final_energy_ev_per_atom": -7.785, "spacegroup": "C2/c", "lattice_angstrom": [[5.702, 3.838, 0.000], [-5.702, 3.838, 0.000], [0.000, 3.773, 10.669]], "species": ["Tm", "Tm", "Tm", "Tm", "W", "W", "W", "W", "W", "W", "O", "O", "O", "O", "O", "O", "O", "O", "O", "O", "O", "O", "O", "O", "O", "O", "O", "O", "O", "O", "O", "O", "O", "O"], "fractional_positions": [[0.713, 0.957, 0.592], [0.957, 0.713, 0.092], [0.043, 0.287, 0.908], [0.287, 0.043, 0.408], [0.539, 0.755, 0.949], [0.755, 0.539, 0.449], [0.132, 0.868, 0.750], [0.868, 0.132, 0.250], [0.245, 0.461, 0.551], [0.461, 0.245, 0.051], [0.547, 0.906, 0.796], [0.869, 0.790, 0.719], [0.077, 0.658, 0.896], [0.770, 0.329, 0.562], [0.821, 0.920, 0.962], [0.529, 0.606, 0.575], [0.906, 0.547, 0.296], [0.394, 0.471, 0.925], [0.080, 0.179, 0.538], [0.671, 0.230, 0.938], [0.342, 0.923, 0.604], [0.790, 0.869, 0.219], [0.210, 0.131, 0.781], [0.658, 0.077, 0.396], [0.329, 0.770, 0.062], [0.920, 0.821, 0.462], [0.606, 0.529, 0.075], [0.094, 0.453, 0.704], [0.471, 0.394, 0.425], [0.179, 0.080, 0.038], [0.230, 0.671, 0.438], [0.923, 0.342, 0.104], [0.131, 0.210, 0.281], [0.453, 0.094, 0.204]]}

---

{"formula": "NaMnFeF6", "functional": "PBE+U", "state": "relaxed", "ef_ev_per_atom": -2.860, "magmom_total_mub_per_atom": 1.111, "final_energy_ev_per_atom": -5.498, "spacegroup": "P321", "lattice_angstrom": [[4.594, -7.957, 0.000], [4.594, 7.957, 0.000], [0.000, 0.000, 5.103]], "species": ["Na", "Na", "Na", "Mn", "Mn", "Mn", "Fe", "Fe", "Fe", "F", "F", "F", "F", "F", "F", "F", "F", "F", "F", "F", "F", "F", "F", "F", "F", "F", "F"], "fractional_positions": [[0.626, 0.000, 0.000], [0.000, 0.626, 0.000], [0.374, 0.374, 0.000], [0.298, 0.000, 0.500], [0.000, 0.298, 0.500], [0.702, 0.702, 0.500], [0.333, 0.667, 0.500], [0.667, 0.333, 0.500], [0.000, 0.000, 0.000], [0.131, 0.536, 0.287], [0.464, 0.595, 0.287], [0.536, 0.131, 0.713], [0.405, 0.869, 0.287], [0.595, 0.464, 0.713], [0.869, 0.405, 0.713], [0.104, 0.202, 0.221], [0.798, 0.903, 0.221], [0.202, 0.104, 0.779], [0.097, 0.896, 0.221], [0.903, 0.798, 0.779], [0.896, 0.097, 0.779], [0.459, 0.231, 0.289], [0.769, 0.227, 0.289], [0.231, 0.459, 0.711], [0.773, 0.541, 0.289], [0.227, 0.769, 0.711], [0.541, 0.773, 0.711]]}

---

{"formula": "CsNbV2O8", "functional": "PBE+U", "state": "relaxed", "ef_ev_per_atom": -2.607, "magmom_total_mub_per_atom": 0.000, "final_energy_ev_per_atom": -7.595, "spacegroup": "P2_1/m", "lattice_angstrom": [[-1.231, 2.122, -5.171], [3.524, -7.669, -3.987], [-13.057, -10.943, -1.383]], "species": ["Cs", "Cs", "Cs", "Cs", "Nb", "Nb", "Nb", "Nb", "V", "V", "V", "V", "V", "V", "V", "V", "O", "O", "O", "O", "O", "O", "O", "O", "O", "O", "O", "O", "O", "O", "O", "O", "O", "O", "O", "O", "O", "O", "O", "O", "O", "O", "O", "O", "O", "O", "O", "O"], "fractional_positions": [[0.250, 0.601, 0.390], [0.750, 0.399, 0.610], [0.250, 0.419, 0.121], [0.750, 0.581, 0.879], [0.250, 0.942, 0.151], [0.750, 0.058, 0.849], [0.250, 0.076, 0.347], [0.750, 0.924, 0.653], [0.750, 0.165, 0.040], [0.250, 0.835, 0.960], [0.750, 0.850, 0.446], [0.250, 0.150, 0.554], [0.750, 0.323, 0.338], [0.250, 0.677, 0.662], [0.750, 0.688, 0.205], [0.250, 0.312, 0.795], [0.496, 0.074, 0.090], [0.996, 0.926, 0.910], [0.504, 0.926, 0.910], [0.004, 0.074, 0.090], [0.750, 0.170, 0.937], [0.250, 0.830, 0.063], [0.494, 0.792, 0.209], [0.994, 0.208, 0.791], [0.506, 0.208, 0.791], [0.006, 0.792, 0.209], [0.250, 0.039, 0.240], [0.750, 0.961, 0.760], [0.494, 0.242, 0.311], [0.994, 0.758, 0.689], [0.506, 0.758, 0.689], [0.006, 0.242, 0.311], [0.750, 0.882, 0.542], [0.250, 0.118, 0.458], [0.498, 0.929, 0.388], [0.998, 0.071, 0.612], [0.502, 0.071, 0.612], [0.002, 0.929, 0.388], [0.750, 0.338, 0.048], [0.250, 0.662, 0.952], [0.750, 0.669, 0.455], [0.250, 0.331, 0.545], [0.750, 0.301, 0.437], [0.250, 0.699, 0.563], [0.750, 0.524, 0.292], [0.250, 0.476, 0.708], [0.750, 0.633, 0.122], [0.250, 0.367, 0.878]]}

---

{"formula": "VO2F", "functional": "PBE+U", "state": "relaxed", "ef_ev_per_atom": -2.397, "magmom_total_mub_per_atom": 0.000, "final_energy_ev_per_atom": -6.737, "spacegroup": "P-1", "lattice_angstrom": [[-4.771, 1.651, -0.165], [2.501, -0.445, -4.568], [-3.570, -11.942, -0.856]], "species": ["V", "V", "V", "V", "V", "V", "O", "O", "O", "O", "O", "O", "O", "O", "O", "O", "O", "O", "F", "F", "F", "F", "F", "F"], "fractional_positions": [[0.192, 0.877, 0.836], [0.115, 0.766, 0.332], [0.500, 0.500, 0.000], [0.500, 0.500, 0.500], [0.885, 0.234, 0.668], [0.808, 0.123, 0.164], [0.315, 0.701, 0.446], [0.083, 0.505, 0.249], [0.917, 0.495, 0.751], [0.685, 0.299, 0.554], [0.030, 0.986, 0.221], [0.634, 0.366, 0.108], [0.769, 0.630, 0.386], [0.970, 0.014, 0.779], [0.426, 0.161, 0.917], [0.574, 0.839, 0.083], [0.231, 0.370, 0.614], [0.366, 0.634, 0.892], [0.566, 0.035, 0.282], [0.434, 0.965, 0.718], [0.903, 0.696, 0.951], [0.761, 0.822, 0.584], [0.239, 0.178, 0.416], [0.097, 0.304, 0.049]]}

---

{"formula": "MoO2", "functional": "PBE+U", "state": "relaxed", "ef_ev_per_atom": -2.022, "final_energy_ev_per_atom": -7.410, "spacegroup": "P2_1/c", "lattice_angstrom": [[0.000, 0.036, -3.172], [0.000, 4.793, 0.033], [4.816, 0.000, 0.000]], "species": ["Mo", "Mo", "O", "O", "O", "O"], "fractional_positions": [[0.750, 0.750, 0.010], [0.250, 0.250, 0.510], [0.747, 0.043, 0.708], [0.253, 0.957, 0.208], [0.247, 0.543, 0.812], [0.753, 0.457, 0.312]]}